Entry from the Materials Project database: crystalline Yb2Mo4O15 at its relaxed geometry (r2SCAN).

The space group is P2_1/c (No. 14) and the conventional cell measures 6.722, 9.469 and 10.421 Å, with angles of 90.00, 105.17 and 90.00 degrees. Symmetry generates all atoms from Yb at (0.212, 0.022, 0.276), Mo at (0.079, 0.743, 0.010), Mo at (0.379, 0.097, 0.842), O at (0.026, 0.124, 0.397), O at (0.119, 0.056, 0.816), O at (0.122, 0.165, 0.101), O at (0.220, 0.653, 0.916), O at (0.245, 0.635, 0.619), O at (0.387, 0.220, 0.353), O at (0.448, 0.029, 0.704) and O at (0.500, 0.000, 0.000).

The value obtained for the formation energy is -2.66 eV per atom. The total energy is -1.12948 Ry per atom.